First-principles (PBE with a Hubbard U) data for a geometry-optimized Li2FeCo3O8 structure, as listed in Materials Project.

Energy relative to the elements ... -1.529 eV per atom
E above lowest polymorph ... 38.7 meV per atom
Raw total energy ... -5.85 eV/atom
Spin magnetization ... 7.00 μB per formula unit

Cell lengths 5.777, 5.777, 9.416 Å; angles 90.30, 90.30, 119.79 degrees
Atoms (fractional coordinates):
Li 0.001 0.999 0.500
Li 0.329 0.660 0.896
Li 0.660 0.329 0.396
Li 0.999 0.001 0.000
Fe 0.338 0.674 0.491
Fe 0.674 0.338 0.991
Co 0.167 0.337 0.215
Co 0.168 0.831 0.215
Co 0.337 0.167 0.715
Co 0.661 0.830 0.217
Co 0.830 0.661 0.717
Co 0.831 0.168 0.715
O 0.007 0.013 0.812
O 0.013 0.007 0.312
O 0.038 0.519 0.330
O 0.158 0.320 0.611
O 0.173 0.848 0.607
O 0.318 0.658 0.109
O 0.320 0.158 0.111
O 0.466 0.504 0.338
O 0.466 0.963 0.336
O 0.504 0.466 0.838
O 0.519 0.038 0.830
O 0.658 0.318 0.609
O 0.675 0.850 0.605
O 0.848 0.173 0.107
O 0.850 0.675 0.105
O 0.963 0.466 0.836